Density functional theory data (PBE with a Hubbard U) for a relaxed structure of Li2CoO2F.

Lattice parameters (Å, degrees): 2.832 2.832 14.109 90.00 90.00 120.00
Element x y z (fractional)
Li1 0.000 0.000 0.000
Li2 0.000 0.000 0.500
Li3 0.333 0.667 0.166
Li4 0.667 0.333 0.834
Co1 0.333 0.667 0.667
Co2 0.667 0.333 0.333
O1 0.000 0.000 0.260
O2 0.000 0.000 0.740
O3 0.333 0.667 0.406
O4 0.667 0.333 0.594
F1 0.333 0.667 0.917
F2 0.667 0.333 0.083

Values from the calculation:
SG   P-3m1
Magnetic moment   0.00 μB/f.u.
Electronic total energy   -5.431 eV/atom
Energy with MP2020 corrections   -6.01 eV/atom